# NaBi3

A relaxed NaBi3 crystal (PBE, the Materials Project).

Structure (POSCAR):
```
NaBi3
1.0
3.5069 -6.0742 0.0000
3.5069 6.0742 0.0000
0.0000 0.0000 5.7604
Na Bi
2 6
Direct
0.3333 0.6667 0.7500 Na
0.6667 0.3333 0.2500 Na
0.1662 0.3325 0.2500 Bi
0.1662 0.8338 0.2500 Bi
0.8338 0.1662 0.7500 Bi
0.8338 0.6675 0.7500 Bi
0.6675 0.8338 0.2500 Bi
0.3325 0.1662 0.7500 Bi
```

---

# Mg2MnW3S8

A relaxed Mg2MnW3S8 crystal (PBE, the Materials Project).

Structure (POSCAR):
```
Mg2MnW3S8
1.0
6.0547 0.0048 3.4892
2.0228 6.3165 3.4974
-0.0050 0.0073 6.9860
W S Mg Mn
3 8 2 1
Direct
0.4659 0.5073 0.4661 W
0.4659 0.5077 0.0606 W
0.0603 0.5072 0.4663 W
0.7623 0.7063 0.7626 S
0.2391 0.7807 0.2397 S
0.2785 0.2378 0.7064 S
0.7265 0.3208 0.7268 S
0.2690 0.7076 0.7612 S
0.7068 0.2382 0.2781 S
0.2775 0.2389 0.2775 S
0.7613 0.7073 0.2689 S
0.1055 0.1846 0.1049 Mg
0.8578 0.9256 0.8578 Mg
0.5237 0.9301 0.5231 Mn
```

---

# Ca2Pr19Co3I36

A relaxed Ca2Pr19Co3I36 crystal (PBE, the Materials Project).

Structure (POSCAR):
```
Ca2Pr19Co3I36
1.0
10.0221 0.0000 0.0000
-2.9161 9.6196 0.0000
-1.7184 -2.2927 26.2998
I Pr Ca Co
36 19 2 3
Direct
0.7031 0.1576 0.0246 I
0.2969 0.8424 0.9754 I
0.4393 0.8310 0.7423 I
0.2274 0.8348 0.5907 I
0.1062 0.4978 0.0756 I
0.6537 0.4998 0.7723 I
0.4705 0.1653 0.8717 I
0.1372 0.8319 0.2051 I
0.0129 0.1673 0.5607 I
0.8628 0.1681 0.7949 I
0.7554 0.8341 0.2805 I
0.2689 0.4961 0.8455 I
0.3992 0.1692 0.4891 I
0.8938 0.5022 0.9244 I
0.9871 0.8327 0.4393 I
0.3206 0.1669 0.1059 I
0.9354 0.1627 0.1789 I
0.3702 0.8243 0.3582 I
0.0369 0.4912 0.6910 I
0.4186 0.4981 0.6138 I
0.6298 0.1757 0.6418 I
0.0893 0.1679 0.9472 I
0.9631 0.5088 0.3090 I
0.5814 0.5019 0.3862 I
0.3463 0.5002 0.2277 I
0.0646 0.8373 0.8211 I
0.6008 0.8308 0.5109 I
0.2446 0.1659 0.7195 I
0.7726 0.1652 0.4093 I
0.5295 0.8347 0.1283 I
0.5607 0.1690 0.2577 I
0.9107 0.8321 0.0528 I
0.6794 0.8331 0.8941 I
0.1946 0.5043 0.4625 I
0.7311 0.5039 0.1545 I
0.8054 0.4957 0.5375 I
0.7609 0.8316 0.7672 Pr
0.2354 0.5055 0.9675 Pr
0.2391 0.1684 0.2328 Pr
0.5901 0.7945 0.0092 Pr
0.2556 0.4586 0.3418 Pr
0.4325 0.1604 0.3654 Pr
0.4267 0.4980 0.1012 Pr
0.5733 0.5020 0.8988 Pr
0.0998 0.8288 0.6995 Pr
0.9233 0.1258 0.6761 Pr
0.0926 0.1632 0.4332 Pr
0.7646 0.4945 0.0325 Pr
0.7444 0.5414 0.6582 Pr
0.9002 0.1712 0.3005 Pr
0.5000 0.5000 0.5000 Pr
0.9074 0.8368 0.5668 Pr
0.5675 0.8396 0.6346 Pr
0.0767 0.8742 0.3239 Pr
0.4099 0.2055 0.9908 Pr
0.8334 0.8334 0.1666 Ca
0.1666 0.1666 0.8334 Ca
0.8331 0.8330 0.6666 Co
0.5000 0.5000 0.0000 Co
0.1669 0.1670 0.3334 Co
```

---

# ReTe7O7F32

A relaxed ReTe7O7F32 crystal (PBE, the Materials Project).

Structure (POSCAR):
```
ReTe7O7F32
1.0
-0.4965 -3.3531 10.3209
-5.2898 -9.9807 -2.5072
10.1321 -7.5048 0.1268
F Te O Re
64 14 14 2
Direct
0.5454 0.5080 0.7168 F
0.1714 0.1184 0.1596 F
0.1035 0.7925 0.7933 F
0.9146 0.5980 0.8184 F
0.4665 0.0651 0.5809 F
0.7239 0.1935 0.0872 F
0.8059 0.7855 0.2347 F
0.0438 0.8756 0.9812 F
0.6726 0.3659 0.2784 F
0.7976 0.7360 0.0418 F
0.0358 0.0170 0.7976 F
0.0442 0.5999 0.0543 F
0.5086 0.0236 0.1785 F
0.2551 0.5565 0.1370 F
0.8286 0.8816 0.8404 F
0.4768 0.2105 0.3953 F
0.2437 0.5106 0.9075 F
0.4552 0.3766 0.9003 F
0.4571 0.6063 0.8883 F
0.7287 0.0471 0.2698 F
0.0924 0.7215 0.2038 F
0.4914 0.9764 0.8215 F
0.9148 0.1509 0.5922 F
0.5391 0.3799 0.5001 F
0.0854 0.4020 0.1816 F
0.5232 0.7895 0.6047 F
0.1941 0.2145 0.7653 F
0.5339 0.2272 0.6798 F
0.0177 0.1063 0.3980 F
0.2024 0.2640 0.9582 F
0.8147 0.7397 0.6104 F
0.6299 0.7786 0.8049 F
0.6695 0.1772 0.4993 F
0.0852 0.8491 0.4078 F
0.6868 0.0796 0.8558 F
0.6989 0.9727 0.6856 F
0.9076 0.2785 0.7962 F
0.9450 0.3219 0.4284 F
0.3701 0.2214 0.1951 F
0.5448 0.6234 0.0997 F
0.0550 0.6781 0.5716 F
0.1571 0.0864 0.5533 F
0.2761 0.8065 0.9128 F
0.9823 0.8937 0.6020 F
0.4609 0.6201 0.4999 F
0.9558 0.4001 0.9457 F
0.5335 0.9349 0.4191 F
0.8672 0.4768 0.6665 F
0.1853 0.2603 0.3896 F
0.3305 0.8228 0.5007 F
0.2713 0.9529 0.7302 F
0.9642 0.9830 0.2024 F
0.4546 0.4920 0.2832 F
0.5429 0.3937 0.1117 F
0.3274 0.6341 0.7216 F
0.3011 0.0273 0.3144 F
0.3132 0.9204 0.1442 F
0.7563 0.4894 0.0925 F
0.4661 0.7728 0.3202 F
0.7449 0.4435 0.8630 F
0.8429 0.9136 0.4467 F
0.8965 0.2075 0.2067 F
0.1328 0.5232 0.3335 F
0.9562 0.1244 0.0188 F
0.3398 0.0735 0.1654 Te
0.6602 0.9265 0.8346 Te
0.6073 0.4936 0.1902 Te
0.6851 0.8361 0.1193 Te
0.3927 0.5064 0.8098 Te
0.0511 0.2058 0.4930 Te
0.5010 0.2223 0.5371 Te
0.9489 0.7942 0.5070 Te
0.3149 0.1639 0.8807 Te
0.8434 0.0870 0.1446 Te
0.0853 0.5614 0.1946 Te
0.1566 0.9130 0.8554 Te
0.4990 0.7777 0.4629 Te
0.9147 0.4386 0.8054 Te
0.9225 0.6878 0.4088 O
0.2366 0.4964 0.5475 O
0.2115 0.0325 0.9265 O
0.3264 0.2644 0.5714 O
0.7634 0.5036 0.4525 O
0.9093 0.5597 0.2510 O
0.6616 0.6067 0.2672 O
0.3384 0.3933 0.7328 O
0.7885 0.9675 0.0735 O
0.0775 0.3122 0.5912 O
0.6736 0.7356 0.4286 O
0.6070 0.8829 0.9852 O
0.0907 0.4403 0.7490 O
0.3930 0.1171 0.0148 O
0.2114 0.3775 0.6403 Re
0.7886 0.6225 0.3597 Re
```

---

# Hf2BiB

A relaxed Hf2BiB crystal (PBE, the Materials Project).

Structure (POSCAR):
```
Hf2BiB
1.0
0.0000 3.4340 3.4340
3.4340 0.0000 3.4340
3.4340 3.4340 0.0000
Hf Bi B
2 1 1
Direct
0.7500 0.7500 0.7500 Hf
0.0000 0.0000 0.0000 Hf
0.2500 0.2500 0.2500 Bi
0.5000 0.5000 0.5000 B
```

---

# Tl3Bi

A relaxed Tl3Bi crystal (PBE, the Materials Project).

Calculated values
The calculation puts the energy above the most stable polymorph in this dataset at 54 meV/atom.

Structure (POSCAR):
```
Tl3Bi
1.0
1.7867 -3.0947 0.0000
1.7867 3.0947 0.0000
0.0000 0.0000 11.5122
Tl Bi
3 1
Direct
0.6667 0.3333 0.5000 Tl
0.3333 0.6667 0.2497 Tl
0.3333 0.6667 0.7503 Tl
0.6667 0.3333 0.0000 Bi
```

---

# KNaNbOF5

A relaxed KNaNbOF5 crystal (PBE, the Materials Project).

Calculated values
The calculation puts the energy above the most stable polymorph in this dataset at 0 meV/atom.

Structure (POSCAR):
```
KNaNbOF5
1.0
-2.5069 3.1578 4.4307
0.7247 -6.5262 5.0614
10.9400 3.8740 3.4288
O F Na K Nb
4 20 4 4 4
Direct
0.5989 0.4995 0.7218 O
0.4011 0.9995 0.2782 O
0.9011 0.4995 0.2218 O
0.0989 0.9995 0.7782 O
0.4644 0.2719 0.1394 F
0.8355 0.1020 0.2116 F
0.6481 0.8152 0.1273 F
0.7173 0.0757 0.9969 F
0.3519 0.3152 0.8727 F
0.5356 0.7719 0.8606 F
0.1481 0.3152 0.3727 F
0.7149 0.5036 0.9528 F
0.0356 0.2719 0.6394 F
0.2827 0.5757 0.0031 F
0.6645 0.1020 0.7116 F
0.7851 0.5036 0.4528 F
0.2173 0.5757 0.5031 F
0.1645 0.6020 0.7884 F
0.2149 0.0036 0.5472 F
0.9644 0.7719 0.3606 F
0.7827 0.0757 0.4969 F
0.3355 0.6020 0.2884 F
0.2851 0.0036 0.0472 F
0.8519 0.8152 0.6273 F
0.4517 0.0464 0.8618 Na
0.5483 0.5464 0.1382 Na
0.9517 0.5464 0.6382 Na
0.0483 0.0464 0.3618 Na
0.9681 0.7992 0.9612 K
0.5319 0.7992 0.4612 K
0.4681 0.2992 0.5388 K
0.0319 0.2992 0.0388 K
0.5408 0.0391 0.1517 Nb
0.0408 0.5391 0.3483 Nb
0.9592 0.0391 0.6517 Nb
0.4592 0.5391 0.8483 Nb
```

---

# Cs2KInCl6

A relaxed Cs2KInCl6 crystal (PBE, the Materials Project).

Structure (POSCAR):
```
Cs2KInCl6
1.0
-3.9152 2.8454 6.2294
-7.7359 1.4513 -0.5300
-5.1444 -4.5752 3.8515
Cl Cs K In
6 2 1 1
Direct
0.7714 0.7714 0.2286 Cl
0.2286 0.7714 0.2286 Cl
0.2286 0.7714 0.7714 Cl
0.7714 0.2286 0.2286 Cl
0.2286 0.2286 0.7714 Cl
0.7714 0.2286 0.7714 Cl
0.7500 0.7500 0.7500 Cs
0.2500 0.2500 0.2500 Cs
0.5000 0.5000 0.5000 K
0.0000 0.0000 0.0000 In
```

---

# CsSrB3H12

A relaxed CsSrB3H12 crystal (PBE, the Materials Project).

Structure (POSCAR):
```
CsSrB3H12
1.0
-6.2119 0.0000 0.0000
0.0000 0.0000 -8.4077
0.0000 -8.3782 0.0000
Cs H Sr B
2 24 2 6
Direct
0.4892 0.0000 0.5000 Cs
0.5108 0.5000 0.0000 Cs
0.1682 0.7630 0.8514 H
0.9607 0.9469 0.3051 H
0.3741 0.4382 0.3951 H
0.1682 0.2370 0.1486 H
0.9875 0.2552 0.3406 H
0.1522 0.2325 0.6255 H
0.8478 0.7325 0.8745 H
0.9607 0.0531 0.6949 H
0.9875 0.7448 0.6594 H
0.0125 0.7552 0.1594 H
0.0393 0.5531 0.8051 H
0.3741 0.5618 0.6049 H
0.4046 0.8960 0.9388 H
0.6259 0.0618 0.8951 H
0.1522 0.7675 0.3745 H
0.0125 0.2448 0.8406 H
0.8318 0.2630 0.6486 H
0.6259 0.9382 0.1049 H
0.4046 0.1040 0.0612 H
0.8478 0.2675 0.1255 H
0.0393 0.4469 0.1949 H
0.5954 0.6040 0.4388 H
0.5954 0.3960 0.5612 H
0.8318 0.7370 0.3514 H
0.0151 0.0000 0.0000 Sr
0.9849 0.5000 0.5000 Sr
0.9914 0.1971 0.7024 B
0.0086 0.6971 0.7976 B
0.4842 0.5000 0.5000 B
0.9914 0.8029 0.2976 B
0.0086 0.3029 0.2024 B
0.5158 0.0000 0.0000 B
```

---

# BeAg3

A relaxed BeAg3 crystal (PBE, the Materials Project).

Structure (POSCAR):
```
BeAg3
1.0
-0.3455 3.9648 -0.2950
-1.3234 0.1646 3.7613
3.7490 0.4235 1.3005
Be Ag
1 3
Direct
0.0000 0.0000 0.0000 Be
0.0000 0.5000 0.5000 Ag
0.5000 0.5000 0.0000 Ag
0.5000 0.0000 0.5000 Ag
```

---

# TiCrAs2

A relaxed TiCrAs2 crystal (PBE, the Materials Project).

Structure (POSCAR):
```
TiCrAs2
1.0
2.6328 2.3525 0.8856
-3.4930 0.9405 0.4054
0.0625 -2.1523 5.5317
As Ti Cr
2 1 1
Direct
0.3333 0.6667 0.7358 As
0.6667 0.3333 0.2642 As
0.0000 0.0000 0.0000 Ti
0.0000 0.0000 0.5000 Cr
```

---

# CaNi12B6

A relaxed CaNi12B6 crystal (PBE, the Materials Project).

Structure (POSCAR):
```
CaNi12B6
1.0
3.6920 -4.7556 0.0000
3.6920 4.7556 0.0000
-2.4336 0.0000 5.5067
Ni B Ca
12 6 1
Direct
0.8134 0.5436 0.5436 Ni
0.1306 0.5000 0.8694 Ni
0.8694 0.5000 0.1306 Ni
0.5436 0.8134 0.5436 Ni
0.5436 0.5436 0.8134 Ni
0.1306 0.8694 0.5000 Ni
0.4564 0.1866 0.4564 Ni
0.8694 0.1306 0.5000 Ni
0.1866 0.4564 0.4564 Ni
0.5000 0.8694 0.1306 Ni
0.5000 0.1306 0.8694 Ni
0.4564 0.4564 0.1866 Ni
0.2355 0.6652 0.2355 B
0.7645 0.7645 0.3348 B
0.6652 0.2355 0.2355 B
0.7645 0.3348 0.7645 B
0.2355 0.2355 0.6652 B
0.3348 0.7645 0.7645 B
0.0000 0.0000 0.0000 Ca
```

---

Calculated formation energy in eV/f.u., matching the order above: -0.41; -14.14; -90.47; -104.96; 4.07; 0.07; -29.40; -20.44; -8.65; 0.88; -2.20; -6.72
Volume in Å³ per cell, matching the order above: 245.4; 267.1; 2535.5; 1546.3; 81.0; 127.3; 601.0; 347.1; 437.6; 63.6; 68.1; 193.4
Calculated total energy in eV/cell, matching the order above: -26.8; -94.4; -247.9; -431.4; -26.4; -10.9; -213.8; -33.5; -139.7; -11.4; -29.1; -118.2